# 1
## Na2Sn (GGA-PBE)

Data for a relaxed Na2Sn crystal.

Values from the calculation:
Crystal system ... tetragonal
Energy of formation ... -0.07 eV/atom
ρ ... 2.9 g cm⁻³
Space group ... I4_1/acd, No. 142

Cell: 12.6613 12.6613 12.9918 Å, 119.16 119.16 90.00°
With the nearest neighbours (Å) after each atom.
Positions (direct):
Na: 0.9757 0.1860 0.1662  3 Na 3.24-3.57, 4 Sn 3.32-3.42
Na: 0.1905 0.9802 0.1662  3 Na 3.24-3.57, 4 Sn 3.32-3.42
Na: 0.4921 0.1945 0.0112  3 Na 3.15-3.41, 3 Sn 3.28-3.38
Na: 0.9445 0.7421 0.5112  3 Na 3.15-3.41, 3 Sn 3.28-3.38
Na: 0.3055 0.0079 0.9888  3 Na 3.15-3.41, 3 Sn 3.28-3.38
Na: 0.7309 0.9333 0.4888  3 Na 3.15-3.41, 3 Sn 3.28-3.38
Na: 0.1833 0.5079 0.9888  3 Na 3.15-3.41, 3 Sn 3.28-3.38
Na: 0.0191 0.6945 0.0112  3 Na 3.15-3.41, 3 Sn 3.28-3.38
Na: 0.6833 0.9809 0.9888  3 Na 3.15-3.41, 3 Sn 3.28-3.38
Na: 0.4445 0.2691 0.5112  3 Na 3.15-3.41, 3 Sn 3.28-3.38
Na: 0.0198 0.0243 0.8338  3 Na 3.24-3.57, 4 Sn 3.32-3.42
Na: 0.5595 0.0640 0.3338  3 Na 3.24-3.57, 4 Sn 3.32-3.42
Na: 0.7579 0.5555 0.4888  3 Na 3.15-3.41, 3 Sn 3.28-3.38
Na: 0.0595 0.7698 0.3338  3 Na 3.24-3.57, 4 Sn 3.32-3.42
Na: 0.2302 0.7257 0.6662  3 Na 3.24-3.57, 4 Sn 3.32-3.42
Na: 0.0667 0.2421 0.5112  3 Na 3.15-3.41, 3 Sn 3.28-3.38
Na: 0.3140 0.5243 0.8338  3 Na 3.24-3.57, 4 Sn 3.32-3.42
Na: 0.9921 0.3167 0.0112  3 Na 3.15-3.41, 3 Sn 3.28-3.38
Na: 0.7302 0.4405 0.6662  3 Na 3.24-3.57, 4 Sn 3.32-3.42
Na: 0.6905 0.6860 0.1662  3 Na 3.24-3.57, 4 Sn 3.32-3.42
Na: 0.5198 0.3095 0.8338  3 Na 3.24-3.57, 4 Sn 3.32-3.42
Na: 0.8140 0.8095 0.8338  3 Na 3.24-3.57, 4 Sn 3.32-3.42
Na: 0.9360 0.2257 0.6662  3 Na 3.24-3.57, 4 Sn 3.32-3.42
Na: 0.2743 0.5640 0.3338  3 Na 3.24-3.57, 4 Sn 3.32-3.42
Na: 0.5191 0.8167 0.0112  3 Na 3.15-3.41, 3 Sn 3.28-3.38
Na: 0.2309 0.0555 0.4888  3 Na 3.15-3.41, 3 Sn 3.28-3.38
Na: 0.4757 0.4802 0.1662  3 Na 3.24-3.57, 4 Sn 3.32-3.42
Na: 0.4360 0.9405 0.6662  3 Na 3.24-3.57, 4 Sn 3.32-3.42
Na: 0.7743 0.2698 0.3338  3 Na 3.24-3.57, 4 Sn 3.32-3.42
Na: 0.5667 0.7691 0.5112  3 Na 3.15-3.41, 3 Sn 3.28-3.38
Na: 0.2579 0.4333 0.4888  3 Na 3.15-3.41, 3 Sn 3.28-3.38
Na: 0.8055 0.4809 0.9888  3 Na 3.15-3.41, 3 Sn 3.28-3.38
Sn: 0.0094 0.5032 0.3172  1 Sn 2.85
Sn: 0.9421 0.9360 0.1828  1 Sn 2.85
Sn: 0.2406 0.2468 0.1828  1 Sn 2.85
Sn: 0.1860 0.9906 0.6828  1 Sn 2.85
Sn: 0.7532 0.0579 0.8172  1 Sn 2.85
Sn: 0.9968 0.4906 0.6828  1 Sn 2.85
Sn: 0.2532 0.2594 0.8172  1 Sn 2.85
Sn: 0.5094 0.3140 0.3172  1 Sn 2.85
Sn: 0.7406 0.4360 0.1828  1 Sn 2.85
Sn: 0.6860 0.1921 0.6828  1 Sn 2.85
Sn: 0.4421 0.7468 0.1828  1 Sn 2.85
Sn: 0.3079 0.8140 0.3172  1 Sn 2.85
Sn: 0.4968 0.6921 0.6828  1 Sn 2.85
Sn: 0.5640 0.5579 0.8172  1 Sn 2.85
Sn: 0.8079 0.0032 0.3172  1 Sn 2.85
Sn: 0.0640 0.7594 0.8172  1 Sn 2.85



# 2
## W2C (GGA-PBE)

Data for a relaxed W2C crystal.

Values from the calculation:
Crystal system ... orthorhombic
Energy of formation ... -0.01 eV/atom
ρ ... 16.6 g cm⁻³
Space group ... Pnnm, No. 58

Cell: 3.0337 4.7402 5.2958 Å, 90.00 90.00 90.00°
With the nearest neighbours (Å) after each atom.
Positions (direct):
C: 0.0000 0.0000 0.0000  6 W 2.12-2.14
C: 0.5000 0.5000 0.5000  6 W 2.12-2.14
W: 0.0000 0.2426 0.6600  3 C 2.12-2.14
W: 0.5000 0.7426 0.8400  3 C 2.12-2.14
W: 0.5000 0.2574 0.1600  3 C 2.12-2.14
W: 0.0000 0.7574 0.3400  3 C 2.12-2.14



# 3
## YMg2 (GGA-PBE)

Data for a relaxed YMg2 crystal.

Values from the calculation:
Crystal system ... monoclinic
Energy of formation ... 0.00 eV/atom
ρ ... 2.9 g cm⁻³
Space group ... C2/c, No. 15

Cell: 5.7356 5.7356 6.5299 Å, 63.95 63.95 59.02°
With the nearest neighbours (Å) after each atom.
Positions (direct):
Mg: 0.4171 0.2499 0.2477  5 Y 3.26-3.43, 7 Mg 3.27-3.41
Mg: 0.5829 0.7501 0.7523  5 Y 3.26-3.43, 7 Mg 3.27-3.41
Mg: 0.2499 0.4171 0.7477  5 Y 3.26-3.43, 7 Mg 3.27-3.41
Mg: 0.7501 0.5829 0.2523  5 Y 3.26-3.43, 7 Mg 3.27-3.41
Y: 0.0873 0.9127 0.2500  10 Mg 3.26-3.43, 2 Y 3.41
Y: 0.9127 0.0873 0.7500  10 Mg 3.26-3.43, 2 Y 3.41